Material: SrMnRe2
Method: DFT, GGA-PBE
State: optimized geometry

Computed properties:
M_tot ... 2.5 μB per formula unit
Crystal system ... cubic
Energy of formation ... 1.004 eV per atom
VASP energy ... -7.931 eV per atom

Cell: 4.5596 4.5596 4.5596 Å, 60.00 60.00 60.00°
Positions (direct):
1 Sr 0.2500 0.2500 0.2500
2 Mn 0.5000 0.5000 0.5000
3 Re 0.0000 0.0000 0.0000
4 Re 0.7500 0.7500 0.7500

***

Material: CeSe2
Method: DFT, GGA-PBE
State: optimized geometry

Computed properties:
M_tot ... 0.0 μB per formula unit
Crystal system ... hexagonal
Energy of formation ... -1.662 eV per atom
VASP energy ... -5.656 eV per atom

Cell: 4.0978 4.0978 26.8138 Å, 90.00 90.00 120.00°
Positions (direct):
1 Ce 0.6667 0.3333 0.0000
2 Ce 0.3333 0.6667 0.5000
3 Ce 0.3333 0.6667 0.7500
4 Ce 0.3333 0.6667 0.2500
5 Se 0.3333 0.6667 0.9367
6 Se 0.3333 0.6667 0.0633
7 Se 0.0000 0.0000 0.8132
8 Se 0.0000 0.0000 0.1868
9 Se 0.0000 0.0000 0.6867
10 Se 0.0000 0.0000 0.3133
11 Se 0.6667 0.3333 0.5634
12 Se 0.6667 0.3333 0.4366

***

Material: Y3Er
Method: DFT, GGA-PBE
State: optimized geometry

Computed properties:
Crystal system ... hexagonal
Energy of formation ... 0.007 eV per atom
VASP energy ... -5.985 eV per atom

Cell: 7.2611 7.2611 5.6697 Å, 90.00 90.00 120.00°
Positions (direct):
1 Y 0.1675 0.3350 0.2500
2 Y 0.6650 0.8325 0.2500
3 Y 0.1675 0.8325 0.2500
4 Y 0.8325 0.6650 0.7500
5 Y 0.3350 0.1675 0.7500
6 Y 0.8325 0.1675 0.7500
7 Er 0.3333 0.6667 0.7500
8 Er 0.6667 0.3333 0.2500

***

Material: Nd3Si2S8I
Method: DFT, GGA-PBE
State: optimized geometry

Computed properties:
M_tot ... 0.0 μB per formula unit
Crystal system ... monoclinic
Energy of formation ... -1.759 eV per atom
VASP energy ... -5.714 eV per atom

Cell: 8.9266 8.9266 10.8826 Å, 82.69 82.69 52.31°
Positions (direct):
1 Nd 0.4005 0.5995 0.7500
2 Nd 0.6774 0.9239 0.6814
3 Nd 0.9239 0.6774 0.1814
4 Nd 0.0761 0.3226 0.8186
5 Nd 0.3226 0.0761 0.3186
6 Nd 0.5995 0.4005 0.2500
7 Si 0.6967 0.6224 0.4711
8 Si 0.3776 0.3033 0.0289
9 Si 0.6224 0.6967 0.9711
10 Si 0.3033 0.3776 0.5289
11 S 0.5506 0.7479 0.1628
12 S 0.7127 0.8508 0.4140
13 S 0.7479 0.5506 0.6628
14 S 0.8904 0.3991 0.3525
15 S 0.2521 0.4494 0.3372
16 S 0.4133 0.7233 0.4581
17 S 0.1096 0.6009 0.6475
18 S 0.8508 0.7127 0.9140
19 S 0.4494 0.2521 0.8372
20 S 0.1492 0.2873 0.0860
21 S 0.5867 0.2767 0.5419
22 S 0.7233 0.4133 0.9581
23 S 0.6009 0.1096 0.1475
24 S 0.3991 0.8904 0.8525
25 S 0.2873 0.1492 0.5860
26 S 0.2767 0.5867 0.0419
27 I 0.9864 0.0136 0.7500
28 I 0.0136 0.9864 0.2500

***

Material: SrCd2P2
Method: DFT, GGA-PBE
State: optimized geometry

Computed properties:
Crystal system ... trigonal
Energy of formation ... -0.588 eV per atom
VASP energy ... -3.461 eV per atom

Cell: 4.3889 4.3889 7.3316 Å, 90.00 90.00 120.00°
Positions (direct):
1 Sr 0.0000 0.0000 0.0000
2 Cd 0.3333 0.6667 0.3648
3 Cd 0.6667 0.3333 0.6352
4 P 0.6667 0.3333 0.2528
5 P 0.3333 0.6667 0.7472

***

Material: Te4Mo3WSe2S2
Method: DFT, GGA-PBE
State: optimized geometry

Computed properties:
M_tot ... 0.0 μB per formula unit
Crystal system ... trigonal
Energy of formation ... -0.501 eV per atom
VASP energy ... -6.528 eV per atom
Energy relative to the lowest polymorph listed for this composition ... 35 meV per atom

Cell: 3.4015 3.4015 40.6859 Å, 90.00 90.00 120.00°
Positions (direct):
1 Te 0.3333 0.6667 0.7062
2 Te 0.6667 0.3333 0.4213
3 Te 0.6667 0.3333 0.5134
4 Te 0.3333 0.6667 0.6136
5 Mo 0.3333 0.6667 0.0940
6 Mo 0.3333 0.6667 0.4673
7 Mo 0.6667 0.3333 0.2817
8 W 0.6667 0.3333 0.6599
9 Se 0.6667 0.3333 0.0535
10 Se 0.6667 0.3333 0.1345
11 S 0.3333 0.6667 0.3186
12 S 0.3333 0.6667 0.2448

***

Material: KCeSiS4
Method: DFT, GGA-PBE
State: optimized geometry

Computed properties:
M_tot ... 1.0 μB per formula unit
Crystal system ... monoclinic
Energy of formation ... -1.685 eV per atom
VASP energy ... -5.542 eV per atom
Energy relative to the lowest polymorph listed for this composition ... 5 meV per atom

Cell: 6.6066 6.5777 8.8369 Å, 73.03 90.00 90.00°
Positions (direct):
1 K 0.7500 0.2738 0.9339
2 K 0.2500 0.7262 0.0661
3 Ce 0.7500 0.2321 0.4489
4 Ce 0.2500 0.7679 0.5511
5 Si 0.7500 0.7836 0.3184
6 Si 0.2500 0.2164 0.6816
7 S 0.5014 0.0038 0.7209
8 S 0.0014 0.9962 0.2791
9 S 0.4986 0.9962 0.2791
10 S 0.9986 0.0038 0.7209
11 S 0.7500 0.5858 0.1683
12 S 0.2500 0.4142 0.8317
13 S 0.7500 0.6021 0.5627
14 S 0.2500 0.3979 0.4373

***

Material: Mg14CuSn
Method: DFT, GGA-PBE
State: optimized geometry

Computed properties:
M_tot ... 0.0 μB per formula unit
Crystal system ... orthorhombic
Energy of formation ... -0.010 eV per atom
VASP energy ... -1.917 eV per atom
Energy relative to the lowest polymorph listed for this composition ... 3 meV per atom

Cell: 6.2540 6.2931 10.3375 Å, 90.00 90.00 120.21°
Positions (direct):
1 Mg 0.1678 0.3339 0.6250
2 Mg 0.1678 0.8339 0.6250
3 Mg 0.6681 0.3346 0.1250
4 Mg 0.6658 0.3327 0.6250
5 Mg 0.6681 0.8335 0.1250
6 Mg 0.6658 0.8331 0.6250
7 Mg 0.3307 0.1696 0.3701
8 Mg 0.3307 0.1696 0.8799
9 Mg 0.3307 0.6612 0.3701
10 Mg 0.3307 0.6612 0.8799
11 Mg 0.8382 0.1691 0.3708
12 Mg 0.8382 0.1691 0.8792
13 Mg 0.8329 0.6664 0.3774
14 Mg 0.8329 0.6664 0.8726
15 Cu 0.1669 0.3335 0.1250
16 Sn 0.1646 0.8323 0.1250